A | The following is a PBE+U calculation of a relaxed Rb5W18O54 crystal, from the Materials Project database.

The structure in POSCAR format:
```
Rb5W18O54
1.0
-2.1136 -7.2181 -0.1069
6.4274 2.0861 -3.3039
22.8409 -7.2786 39.8390
O W Rb
108 36 10
Direct
0.0000 0.4999 0.8338
0.4240 0.2115 0.9581
0.7874 0.5755 0.1247
0.5000 0.5000 0.0834
0.4203 0.2103 0.7919
0.5798 0.7899 0.5418
0.0000 0.4999 0.4164
0.0000 0.4999 0.5004
0.2098 0.7898 0.4584
0.4208 0.2104 0.2915
0.5792 0.7896 0.2915
0.7876 0.5760 0.9581
0.5756 0.7882 0.0420
0.7897 0.2101 0.7919
0.5000 0.0000 0.5834
0.4999 0.0000 0.5004
0.0000 0.5000 0.0001
0.2127 0.4244 0.0420
0.4999 0.4999 0.3329
0.7901 0.2102 0.3747
0.2100 0.4203 0.7082
0.5006 0.0000 0.9167
0.2102 0.7901 0.3747
0.5001 0.0000 0.3329
0.4200 0.2102 0.4584
0.2126 0.7882 0.1247
0.7898 0.5797 0.7082
0.2105 0.7896 0.8752
0.7899 0.5797 0.6249
0.2124 0.4240 0.2086
0.2118 0.7873 0.0420
0.0000 0.4994 0.2500
0.7885 0.2124 0.9581
0.5006 0.5006 0.2500
0.5797 0.7898 0.7082
0.2103 0.4203 0.7919
0.5760 0.7876 0.9581
0.7896 0.5792 0.2915
0.2101 0.4202 0.5418
0.7873 0.2118 0.0420
0.2124 0.7885 0.9581
0.7895 0.5791 0.8752
0.4994 0.0000 0.2500
0.7885 0.5760 0.2086
0.0000 0.5000 0.7499
0.2101 0.7898 0.6249
0.2102 0.7900 0.7082
0.7899 0.5798 0.5418
0.7882 0.2126 0.1247
0.0000 0.5000 0.5834
0.4203 0.2100 0.7082
0.7882 0.5756 0.0420
0.4244 0.2127 0.0420
0.7902 0.5800 0.4584
0.0000 0.5006 0.9167
0.2104 0.4208 0.2915
0.4240 0.2124 0.2086
0.2101 0.7899 0.5418
0.7896 0.2105 0.8752
0.4209 0.2104 0.8752
0.4999 0.4999 0.6664
0.2118 0.4245 0.1247
0.5001 0.5001 0.8338
0.7899 0.5799 0.3747
0.2104 0.4209 0.8752
0.2102 0.4200 0.4584
0.5755 0.7874 0.1247
0.5000 0.0000 0.0834
0.5760 0.7885 0.2086
0.7900 0.2102 0.7082
0.5001 0.0000 0.6664
0.4202 0.2101 0.5418
0.5000 0.5000 0.5834
0.4245 0.2118 0.1247
0.2099 0.4201 0.3747
0.4201 0.2099 0.3747
0.4994 0.4994 0.9167
0.7898 0.2098 0.4584
0.5001 0.5001 0.4164
0.0000 0.4999 0.1666
0.5800 0.7902 0.4584
0.5001 0.5001 0.1666
0.0000 0.5000 0.0834
0.2101 0.7897 0.7919
0.4999 0.0000 0.8338
0.5001 0.5001 0.5004
0.5000 0.0000 0.7499
0.5000 0.5000 0.0001
0.4999 0.0000 0.1666
0.7899 0.5797 0.7919
0.5797 0.7899 0.6249
0.5799 0.7899 0.3747
0.2115 0.7876 0.2086
0.2115 0.4240 0.9581
0.0000 0.5001 0.3329
0.7876 0.2115 0.2086
0.5000 0.0000 0.0001
0.7898 0.2101 0.6249
0.7896 0.2104 0.2915
0.5797 0.7899 0.7919
0.0000 0.5001 0.6664
0.5000 0.5000 0.7499
0.2104 0.7896 0.2915
0.4999 0.0000 0.4164
0.2102 0.4203 0.6249
0.4203 0.2102 0.6249
0.7899 0.2101 0.5418
0.5791 0.7895 0.8752
0.5004 0.5004 0.7917
0.4999 0.4999 0.5415
0.0000 0.5004 0.7086
0.0000 0.5003 0.3751
0.5017 0.0000 0.9585
0.0000 0.4983 0.2082
0.4996 0.0000 0.4582
0.4980 0.0000 0.0416
0.0000 0.4980 0.0416
0.5001 0.5001 0.6251
0.4983 0.4983 0.9585
0.5004 0.0000 0.7086
0.4981 0.4981 0.1251
0.0000 0.5001 0.5415
0.4999 0.0000 0.8750
0.5001 0.0000 0.2917
0.5020 0.5020 0.0416
0.0000 0.5019 0.1251
0.0000 0.4999 0.8750
0.5001 0.5001 0.8750
0.0000 0.4996 0.7917
0.4997 0.4997 0.3751
0.5003 0.0000 0.3751
0.5001 0.0000 0.5415
0.4999 0.0000 0.6251
0.4999 0.4999 0.2917
0.4996 0.4996 0.7086
0.4996 0.0000 0.7917
0.0000 0.5017 0.9585
0.4983 0.0000 0.2082
0.0000 0.4999 0.6251
0.5019 0.0000 0.1251
0.5004 0.5004 0.4582
0.0000 0.4996 0.4582
0.0000 0.5001 0.2917
0.5017 0.5017 0.2082
0.0000 0.0000 0.4166
0.0000 0.0000 0.7501
0.0000 0.0000 0.2451
0.0000 0.0000 0.0833
0.0000 0.0000 0.5833
0.0000 0.0000 0.6668
0.0000 0.0000 0.3329
0.0000 0.0000 0.8339
0.0000 0.0000 0.4997
0.0000 0.0000 0.9216
```

Properties
Spin magnetization = 0.026 μB per atom
Space-group type = P31m (157)

=====

B | The following is a PBE+U calculation of a relaxed Rb5W18O54 crystal, from the Materials Project database.

The structure in POSCAR format:
```
Rb5W18O54
1.0
3.7426 -6.4824 0.0000
3.7426 6.4824 0.0000
0.0000 0.0000 23.0868
O W Rb
54 18 5
Direct
0.4998 0.4998 0.3335
0.0000 0.5000 0.0000
0.5002 0.5002 0.6665
0.2120 0.4237 0.5833
0.5761 0.7881 0.2503
0.5000 0.0000 0.0000
0.4239 0.2119 0.7497
0.2135 0.7867 0.9160
0.7881 0.5761 0.2503
0.2121 0.4239 0.2503
0.2133 0.7865 0.0840
0.7883 0.2120 0.4167
0.2119 0.4239 0.7497
0.2119 0.7879 0.2503
0.5002 0.0000 0.3335
0.7867 0.2135 0.9160
0.7865 0.2133 0.0840
0.5005 0.0000 0.8328
0.2117 0.7880 0.5833
0.7879 0.2119 0.2503
0.0000 0.5000 0.5000
0.4268 0.2133 0.9160
0.5005 0.5005 0.1672
0.7883 0.5763 0.5833
0.0000 0.4995 0.1672
0.5000 0.5000 0.0000
0.4237 0.2120 0.5833
0.4239 0.2121 0.2503
0.4995 0.4995 0.8328
0.4998 0.0000 0.6665
0.7880 0.2117 0.5833
0.2120 0.7883 0.4167
0.4237 0.2117 0.4167
0.5000 0.0000 0.5000
0.4268 0.2135 0.0840
0.0000 0.4998 0.6665
0.2135 0.4268 0.0840
0.0000 0.5005 0.8328
0.2117 0.4237 0.4167
0.7865 0.5732 0.9160
0.5732 0.7867 0.0840
0.4995 0.0000 0.1672
0.2121 0.7881 0.7497
0.0000 0.5002 0.3335
0.7867 0.5732 0.0840
0.5000 0.5000 0.5000
0.7881 0.2121 0.7497
0.5761 0.7879 0.7497
0.2133 0.4268 0.9160
0.7880 0.5763 0.4167
0.5763 0.7880 0.4167
0.5732 0.7865 0.9160
0.5763 0.7883 0.5833
0.7879 0.5761 0.7497
0.5002 0.5002 0.4165
0.4971 0.4971 0.2497
0.4926 0.0000 0.0827
0.5029 0.0000 0.2497
0.0000 0.4998 0.4165
0.5074 0.5074 0.0827
0.0000 0.4926 0.0827
0.4998 0.4998 0.5835
0.5002 0.0000 0.5835
0.5029 0.5029 0.7503
0.0000 0.5002 0.5835
0.0000 0.5074 0.9173
0.0000 0.4971 0.7503
0.4926 0.4926 0.9173
0.4971 0.0000 0.7503
0.0000 0.5029 0.2497
0.5074 0.0000 0.9173
0.4998 0.0000 0.4165
0.0000 0.0000 0.8455
0.0000 0.0000 0.5000
0.0000 0.0000 0.1545
0.0000 0.0000 0.3313
0.0000 0.0000 0.6687
```

Properties
Spin magnetization = 0.005 μB per atom
Space-group type = P-31m (162)

=====

Stability ranking, top entry: A; the second entry is 0.005 eV/atom less favorable.

=====

A | The following is a PBE+U calculation of a relaxed VReO4 crystal, from the Materials Project database.

The structure in POSCAR format:
```
VReO4
1.0
-4.3145 2.5256 -2.7281
-2.7789 -6.1886 -1.3347
-5.5933 1.5722 4.3559
O Re V
16 4 4
Direct
0.3660 0.0000 0.2877
0.3840 0.5000 0.2123
0.9039 0.5000 0.2123
0.7491 0.7794 0.0015
0.6130 0.5000 0.7879
0.7491 0.2206 0.0015
0.6509 0.0000 0.7121
0.0009 0.2794 0.4985
0.0009 0.7206 0.4985
0.2503 0.8101 0.9993
0.2503 0.1899 0.9993
0.1370 0.0000 0.7121
0.8461 0.0000 0.2877
0.4997 0.6900 0.5007
0.0991 0.5000 0.7879
0.4997 0.3100 0.5007
0.5271 0.0000 0.9998
0.7773 0.5000 0.5002
0.2230 0.5000 0.5002
0.9728 0.0000 0.9998
0.4963 0.0000 0.5073
0.2536 0.5000 0.9927
0.7459 0.5000 0.0080
0.0041 0.0000 0.4920
```

Properties
Space-group type = Cmcm (63)

=====

B | The following is a PBE+U calculation of a relaxed VReO4 crystal, from the Materials Project database.

The structure in POSCAR format:
```
VReO4
1.0
-0.0808 4.8114 2.8526
4.8114 -0.0808 -2.8525
-0.0812 4.8117 -2.8531
V O Re
2 8 2
Direct
0.7499 0.5002 0.7499
0.2499 0.5001 0.2500
0.7502 0.8107 0.4391
0.2940 0.2870 0.9930
0.2496 0.2205 0.5298
0.2054 0.7124 0.5071
0.7200 0.7129 0.9931
0.7805 0.2875 0.5071
0.7502 0.1892 0.0606
0.2497 0.7795 0.9708
0.4738 0.0001 0.5261
0.0266 0.0001 0.9734
```

Properties
Spin magnetization = 0.014 μB per atom
Space-group type = Immm (71)

=====

Stability ranking, top entry: A; the second entry is 0.015 eV/atom less favorable.

=====

A | The following is a PBE+U calculation of a relaxed VReO4 crystal, from the Materials Project database.

The structure in POSCAR format:
```
VReO4
1.0
4.7937 -0.0614 0.0002
-0.0619 4.7641 -2.8603
-0.0618 4.7641 2.8602
O V Re
8 2 2
Direct
0.2904 0.6328 0.6521
0.2189 0.1335 0.6336
0.7096 0.3479 0.3672
0.7096 0.8673 0.8480
0.2903 0.1521 0.1327
0.8121 0.8429 0.3429
0.1879 0.6571 0.1570
0.7811 0.3665 0.8666
0.4888 0.5142 0.0141
0.5114 0.9858 0.4858
0.0000 0.0310 0.9691
0.0000 0.4690 0.5310
```

Properties
Space-group type = C2/m (12)

=====

B | The following is a PBE+U calculation of a relaxed VReO4 crystal, from the Materials Project database.

The structure in POSCAR format:
```
VReO4
1.0
-3.8055 1.7420 2.3755
2.1813 -1.2617 4.0999
2.4928 5.1093 0.2462
V O Re
2 8 2
Direct
0.5000 0.5000 0.2500
0.5000 0.5000 0.7501
0.2869 0.2869 0.9967
0.7131 0.7131 0.5033
0.2204 0.7796 0.7501
0.7131 0.7131 0.9967
0.8090 0.1910 0.2499
0.7796 0.2204 0.7501
0.2869 0.2869 0.5033
0.1910 0.8090 0.2499
0.0000 0.0000 0.9737
0.0000 0.0000 0.5262
```

Properties
Spin magnetization = 0.329 μB per atom
Space-group type = Cmmm (65)

=====

C | The following is a PBE+U calculation of a relaxed VReO4 crystal, from the Materials Project database.

The structure in POSCAR format:
```
VReO4
1.0
4.8015 -0.0728 -0.0001
0.0001 0.0000 -5.7089
-0.1461 9.5800 -2.8538
O Re V
16 4 4
Direct
0.2904 0.6822 0.6424
0.2861 0.9192 0.1438
0.2901 0.1748 0.6423
0.7117 0.3131 0.3570
0.2862 0.4378 0.1439
0.7123 0.5748 0.8569
0.2223 0.0578 0.3850
0.1882 0.5472 0.4058
0.8103 0.4526 0.5943
0.7116 0.8308 0.3567
0.8102 0.2031 0.0939
0.7121 0.0676 0.8568
0.7752 0.6933 0.1138
0.1911 0.2967 0.9063
0.2178 0.8051 0.8896
0.7846 0.9440 0.6115
0.9984 0.9713 0.0010
0.9983 0.5275 0.0012
0.0014 0.7785 0.4990
0.0016 0.2222 0.4990
0.5009 0.3750 0.7494
0.5001 0.8745 0.7500
0.5098 0.1319 0.2368
0.4894 0.6187 0.2637
```

Properties
Spin magnetization = 0.316 μB per atom
Space-group type = Cm (8)

=====

D | The following is a PBE+U calculation of a relaxed VReO4 crystal, from the Materials Project database.

The structure in POSCAR format:
```
VReO4
1.0
0.0004 -0.0001 -5.7209
-4.8461 4.8459 2.8611
4.7153 4.7154 -0.0003
Re O V
4 16 4
Direct
0.0315 0.0029 0.0000
0.2785 0.4972 0.5000
0.7184 0.4971 0.5000
0.4715 0.0028 0.0000
0.9050 0.3102 0.5000
0.7444 0.5002 0.7871
0.7445 0.5002 0.2129
0.4944 0.9999 0.2874
0.8450 0.1898 0.0000
0.3634 0.2270 0.0000
0.6576 0.8151 0.0000
0.0924 0.6850 0.5000
0.2556 0.5001 0.7875
0.3867 0.2731 0.5000
0.1382 0.7763 0.0000
0.6119 0.7237 0.5000
0.0055 0.9998 0.2872
0.0055 0.9998 0.7128
0.4944 0.9999 0.7126
0.2556 0.5001 0.2125
0.9925 0.4850 0.0000
0.2383 0.9764 0.5000
0.5116 0.5235 0.0000
0.7575 0.0151 0.5000
```

Properties
Space-group type = Cmcm (63)

=====

Stability ranking, top entry: D; the second entry is 0.008 eV/atom less favorable.